[1]
BaP2PbO7: relaxed, GGA-PBE.

Output
- DFT formation energy: -2828 meV per atom

The structure in POSCAR format:
```
BaP2PbO7
1.0
-4.934 -1.736 -2.262
4.197 -1.363 -8.108
2.849 -12.831 3.632
O Ba P Pb
28 4 8 4
direct
0.250 0.124 0.164
0.474 0.148 0.427
0.972 0.089 0.765
0.528 0.089 0.765
0.026 0.648 0.073
0.250 0.729 0.922
0.750 0.271 0.078
0.750 0.876 0.836
0.250 0.890 0.071
0.472 0.411 0.265
0.250 0.229 0.578
0.028 0.911 0.235
0.250 0.624 0.336
0.026 0.148 0.427
0.750 0.610 0.571
0.750 0.771 0.422
0.474 0.648 0.073
0.750 0.110 0.929
0.974 0.352 0.927
0.750 0.376 0.664
0.250 0.390 0.429
0.974 0.852 0.573
0.972 0.589 0.735
0.528 0.589 0.735
0.472 0.911 0.235
0.526 0.352 0.927
0.526 0.852 0.573
0.028 0.411 0.265
0.250 0.337 0.761
0.250 0.837 0.739
0.750 0.163 0.261
0.750 0.663 0.239
0.250 0.722 0.034
0.250 0.222 0.466
0.750 0.540 0.680
0.250 0.460 0.320
0.750 0.778 0.534
0.750 0.278 0.966
0.250 0.960 0.180
0.750 0.040 0.820
0.750 0.137 0.587
0.750 0.637 0.913
0.250 0.363 0.087
0.250 0.863 0.413
```

=====

[2]
LiBi3Br2O4: relaxed, GGA-PBE.

Output
- DFT formation energy: -1614 meV per atom
- Distance to the lowest polymorph of the same formula: 4 meV per atom

The structure in POSCAR format:
```
LiBi3Br2O4
1.0
-3.684 5.147 -2.872
-1.400 -4.548 5.066
2.046 3.567 3.767
Bi O Br Li
3 4 2 1
direct
0.340 0.660 0.500
0.836 0.164 0.000
0.156 0.844 0.000
0.000 0.506 0.248
0.000 0.506 0.752
0.494 0.000 0.752
0.494 0.000 0.248
0.984 0.016 0.500
0.494 0.506 0.000
0.702 0.298 0.500
```

=====

[3]
HoAl2Ni: relaxed, GGA-PBE.

Output
- DFT formation energy: -645 meV per atom

The structure in POSCAR format:
```
HoAl2Ni
1.0
4.050 0.000 0.000
-2.025 5.070 0.000
0.000 0.000 6.868
Ho Al Ni
2 4 2
direct
0.938 0.877 0.250
0.062 0.123 0.750
0.344 0.688 0.554
0.344 0.688 0.946
0.656 0.312 0.054
0.656 0.312 0.446
0.784 0.568 0.750
0.216 0.432 0.250
```

=====

[4]
As2Se3S3N4F12: relaxed, GGA-PBE.

Output
- DFT formation energy: -1324 meV per atom

The structure in POSCAR format:
```
As2Se3S3N4F12
1.0
-7.909 -14.350 2.134
7.992 -3.615 5.307
2.690 0.505 13.363
F N Se As S
48 16 12 8 12
direct
0.093 0.653 0.513
0.639 0.188 0.913
0.071 0.525 0.743
0.429 0.525 0.243
0.989 0.820 0.937
0.013 0.128 0.739
0.873 0.042 0.109
0.373 0.958 0.391
0.393 0.736 0.370
0.407 0.653 0.013
0.241 0.684 0.537
0.992 0.906 0.716
0.139 0.812 0.587
0.107 0.736 0.870
0.175 0.399 0.690
0.008 0.094 0.284
0.675 0.601 0.810
0.825 0.601 0.310
0.127 0.958 0.891
0.219 0.551 0.767
0.719 0.449 0.733
0.861 0.188 0.413
0.281 0.551 0.267
0.907 0.347 0.487
0.781 0.449 0.233
0.627 0.042 0.609
0.128 0.045 0.670
0.361 0.812 0.087
0.929 0.475 0.257
0.259 0.684 0.037
0.489 0.180 0.563
0.987 0.872 0.261
0.511 0.820 0.437
0.492 0.094 0.784
0.325 0.399 0.190
0.571 0.475 0.757
0.607 0.264 0.630
0.741 0.316 0.963
0.628 0.955 0.830
0.893 0.264 0.130
0.011 0.180 0.063
0.508 0.906 0.216
0.487 0.128 0.239
0.872 0.955 0.330
0.759 0.316 0.463
0.372 0.045 0.170
0.593 0.347 0.987
0.513 0.872 0.761
0.802 0.859 0.800
0.311 0.964 0.625
0.698 0.859 0.300
0.602 0.428 0.180
0.898 0.428 0.680
0.189 0.964 0.125
0.107 0.405 0.238
0.893 0.595 0.762
0.811 0.036 0.875
0.689 0.036 0.375
0.102 0.572 0.320
0.302 0.141 0.700
0.607 0.595 0.262
0.398 0.572 0.820
0.198 0.141 0.200
0.393 0.405 0.738
0.199 0.162 0.964
0.207 0.328 0.033
0.293 0.328 0.533
0.116 0.221 0.405
0.616 0.779 0.095
0.793 0.672 0.967
0.699 0.838 0.536
0.884 0.779 0.595
0.801 0.838 0.036
0.301 0.162 0.464
0.707 0.672 0.467
0.384 0.221 0.905
0.058 0.930 0.806
0.155 0.608 0.637
0.442 0.930 0.306
0.942 0.070 0.194
0.655 0.392 0.863
0.558 0.070 0.694
0.345 0.608 0.137
0.845 0.392 0.363
0.601 0.412 0.303
0.809 0.041 0.758
0.387 0.391 0.963
0.101 0.588 0.197
0.691 0.041 0.258
0.309 0.959 0.742
0.899 0.412 0.803
0.399 0.588 0.697
0.887 0.609 0.537
0.113 0.391 0.463
0.191 0.959 0.242
0.613 0.609 0.037
```

=====

[5]
Hg3Bi: relaxed, GGA-PBE.

Output
- DFT formation energy: 116 meV per atom

The structure in POSCAR format:
```
Hg3Bi
1.0
4.759 0.000 0.000
0.000 4.759 0.000
0.000 0.000 4.759
Bi Hg
1 3
direct
0.500 0.500 0.500
0.500 0.000 0.000
0.000 0.000 0.500
0.000 0.500 0.000
```

=====

[6]
SrTlPS4: relaxed, GGA-PBE.

Output
- DFT formation energy: -1217 meV per atom

The structure in POSCAR format:
```
SrTlPS4
1.0
6.666 0.000 0.000
0.000 8.803 0.000
0.000 0.000 12.877
S Sr Tl P
16 4 4 4
direct
0.250 0.812 0.949
0.750 0.312 0.551
0.505 0.361 0.245
0.005 0.861 0.255
0.750 0.574 0.068
0.250 0.426 0.932
0.495 0.861 0.255
0.005 0.639 0.755
0.505 0.139 0.745
0.995 0.139 0.745
0.995 0.361 0.245
0.750 0.188 0.051
0.495 0.639 0.755
0.250 0.688 0.449
0.750 0.926 0.568
0.250 0.074 0.432
0.750 0.392 0.865
0.750 0.108 0.365
0.250 0.608 0.135
0.250 0.892 0.635
0.250 0.379 0.611
0.750 0.879 0.889
0.250 0.121 0.111
0.750 0.621 0.389
0.250 0.628 0.853
0.250 0.872 0.353
0.750 0.128 0.647
0.750 0.372 0.147
```

=====

[7]
Y2O3: relaxed, GGA-PBE.

Output
- DFT formation energy: -3731 meV per atom

The structure in POSCAR format:
```
Y2O3
1.0
11.616 0.387 0.507
0.365 11.599 0.295
0.498 0.304 12.013
Y O
40 60
direct
0.204 0.497 0.483
0.499 0.303 0.475
0.494 0.373 0.765
0.001 0.626 0.739
0.714 0.763 0.473
0.952 0.706 0.327
0.494 0.981 0.481
0.041 0.882 0.839
0.069 0.440 0.213
0.991 0.270 0.457
0.255 0.207 0.272
0.214 0.775 0.388
0.374 0.630 0.154
0.924 0.394 0.906
0.622 0.775 0.218
0.558 0.722 0.712
0.695 0.204 0.925
0.723 0.201 0.616
0.978 0.007 0.343
0.251 0.607 0.898
0.710 0.916 0.808
0.586 0.360 0.153
0.942 0.624 0.057
0.174 0.065 0.559
0.350 0.332 0.013
0.776 0.475 0.364
0.659 0.558 0.931
0.850 0.953 0.081
0.959 0.173 0.762
0.748 0.482 0.648
0.491 0.080 0.181
0.434 0.104 0.740
0.899 0.932 0.602
0.857 0.259 0.143
0.206 0.336 0.735
0.479 0.830 0.966
0.135 0.829 0.093
0.472 0.627 0.457
0.290 0.801 0.650
0.171 0.148 0.997
0.641 0.746 0.879
0.610 0.890 0.359
0.965 0.411 0.074
0.702 0.854 0.631
0.384 0.717 0.798
0.827 0.359 0.521
0.049 0.010 0.701
0.921 0.331 0.295
0.897 0.104 0.496
0.806 0.305 0.762
0.848 0.611 0.469
0.467 0.797 0.558
0.639 0.633 0.344
0.110 0.981 0.974
0.810 0.060 0.720
0.102 0.640 0.125
0.514 0.945 0.820
0.111 0.488 0.651
0.809 0.801 0.190
0.085 0.856 0.268
0.313 0.092 0.121
0.590 0.528 0.779
0.087 0.234 0.619
0.407 0.101 0.357
0.150 0.885 0.523
0.150 0.739 0.780
0.743 0.414 0.034
0.603 0.368 0.599
0.391 0.461 0.442
0.661 0.187 0.126
0.738 0.008 0.955
0.315 0.508 0.052
0.048 0.556 0.899
0.315 0.194 0.875
0.898 0.563 0.235
0.309 0.761 0.035
0.153 0.360 0.367
0.121 0.114 0.384
0.316 0.441 0.832
0.919 0.077 0.188
0.174 0.291 0.123
0.881 0.203 0.964
0.536 0.344 0.957
0.570 0.125 0.550
0.907 0.808 0.752
0.968 0.810 0.004
0.532 0.910 0.111
0.549 0.642 0.085
0.834 0.545 0.805
0.373 0.279 0.644
0.280 0.664 0.530
0.625 0.617 0.573
0.336 0.999 0.625
0.387 0.722 0.308
0.588 0.194 0.777
0.420 0.286 0.183
0.119 0.621 0.369
0.632 0.363 0.326
0.888 0.857 0.435
0.078 0.267 0.859
```

=====

[8]
Ho6CoBi2: relaxed, GGA-PBE.

Output
- DFT formation energy: -457 meV per atom

The structure in POSCAR format:
```
Ho6CoBi2
1.0
-2.011 7.977 1.499
-5.868 -5.942 0.426
0.828 -0.534 3.955
Ho Bi Co
6 2 1
direct
0.000 0.231 0.000
0.231 0.000 0.000
0.607 0.000 0.500
0.769 0.769 0.000
0.000 0.607 0.500
0.393 0.393 0.500
0.333 0.667 0.000
0.667 0.333 0.000
0.000 0.000 0.500
```

=====

[9]
Na6P2H2O9: relaxed, GGA-PBE.

Output
- DFT formation energy: -2326 meV per atom

The structure in POSCAR format:
```
Na6P2H2O9
1.0
2.740 4.865 0.000
-2.740 4.865 0.000
0.000 3.773 16.730
O H Na P
18 4 12 4
direct
0.145 0.372 0.593
0.442 0.493 0.149
0.132 0.664 0.036
0.479 0.037 0.325
0.868 0.336 0.964
0.493 0.442 0.649
0.963 0.521 0.175
0.558 0.507 0.851
0.037 0.479 0.825
0.959 0.041 0.250
0.041 0.959 0.750
0.521 0.963 0.675
0.664 0.132 0.536
0.855 0.628 0.407
0.336 0.868 0.464
0.507 0.558 0.351
0.372 0.145 0.093
0.628 0.855 0.907
0.770 0.066 0.273
0.230 0.934 0.727
0.066 0.770 0.773
0.934 0.230 0.227
0.711 0.652 0.548
0.182 0.517 0.285
0.818 0.483 0.715
0.289 0.348 0.452
0.517 0.182 0.785
0.097 0.902 0.597
0.902 0.097 0.097
0.348 0.289 0.952
0.903 0.098 0.403
0.652 0.711 0.048
0.483 0.818 0.215
0.098 0.903 0.903
0.544 0.770 0.387
0.456 0.230 0.613
0.770 0.544 0.887
0.230 0.456 0.113
```

=====

What did the ninth record say?
Na6P2H2O9: relaxed, GGA-PBE.

Output
- DFT formation energy: -2326 meV per atom

The structure in POSCAR format:
```
Na6P2H2O9
1.0
2.740 4.865 0.000
-2.740 4.865 0.000
0.000 3.773 16.730
O H Na P
18 4 12 4
direct
0.145 0.372 0.593
0.442 0.493 0.149
0.132 0.664 0.036
0.479 0.037 0.325
0.868 0.336 0.964
0.493 0.442 0.649
0.963 0.521 0.175
0.558 0.507 0.851
0.037 0.479 0.825
0.959 0.041 0.250
0.041 0.959 0.750
0.521 0.963 0.675
0.664 0.132 0.536
0.855 0.628 0.407
0.336 0.868 0.464
0.507 0.558 0.351
0.372 0.145 0.093
0.628 0.855 0.907
0.770 0.066 0.273
0.230 0.934 0.727
0.066 0.770 0.773
0.934 0.230 0.227
0.711 0.652 0.548
0.182 0.517 0.285
0.818 0.483 0.715
0.289 0.348 0.452
0.517 0.182 0.785
0.097 0.902 0.597
0.902 0.097 0.097
0.348 0.289 0.952
0.903 0.098 0.403
0.652 0.711 0.048
0.483 0.818 0.215
0.098 0.903 0.903
0.544 0.770 0.387
0.456 0.230 0.613
0.770 0.544 0.887
0.230 0.456 0.113
```